1.
A plane-wave DFT calculation with GGA+U was carried out for crystalline CaDyMnSnO6 at its relaxed geometry.

Cell lengths 8.111, 8.111, 8.111 Å; angles 90.00, 90.00, 90.00 degrees
Space group F-43m (No. 216)
Asymmetric unit:
Ca  0.000  0.000  0.000 x4
Dy  0.250  0.250  0.750 x4
Mn  0.250  0.250  0.250 x4
Sn  0.000  0.000  0.500 x4
O  0.018  0.250  0.250 x24

## Properties
- Calculated density: 5.88 g cm⁻³
- Total moment: 8.01 μB per cell

2.
A plane-wave DFT calculation with GGA+U was carried out for crystalline CaDyMnSnO6 at its relaxed geometry.

Cell lengths 8.006, 8.006, 8.006 Å; angles 90.00, 90.00, 90.00 degrees
Space group F-43m (No. 216)
Asymmetric unit:
Ca  0.000  0.000  0.000 x4
Dy  0.250  0.250  0.750 x4
Mn  0.000  0.000  0.500 x4
Sn  0.250  0.250  0.250 x4
O  0.000  0.000  0.268 x24

## Properties
- Calculated density: 6.11 g cm⁻³
- Total moment: 8.22 μB per cell

3.
A plane-wave DFT calculation with GGA+U was carried out for crystalline CaDyMnSnO6 at its relaxed geometry.

Cell lengths 5.489, 5.533, 8.615 Å; angles 91.14, 94.61, 91.80 degrees
Space group P-1 (No. 2)
Asymmetric unit:
Ca  0.000  0.000  0.000 x1
Ca  0.500  0.500  0.500 x1
Dy  0.023  0.558  0.726 x2
Mn  0.000  0.000  0.500 x1
Mn  0.500  0.500  0.000 x1
Sn  0.486  0.053  0.778 x2
O  0.145  0.311  0.545 x2
O  0.188  0.099  0.239 x2
O  0.237  0.297  0.890 x2
O  0.287  0.848  0.604 x2
O  0.332  0.790  0.925 x2
O  0.352  0.610  0.246 x2

## Properties
- Calculated density: 6.02 g cm⁻³
- Total moment: 8.00 μB per cell

3 is the most stable structure; the next one sits 0.396 eV/atom above it.

1.
A plane-wave DFT calculation with GGA+U was carried out for crystalline KCaEuWO6 at its relaxed geometry.

Cell lengths 8.379, 8.388, 8.454 Å; angles 90.00, 90.00, 90.00 degrees
Space group Pnnn (No. 48, origin choice 2)
Asymmetric unit:
K  0.250  0.250  0.250 x2
K  0.250  0.750  0.250 x2
Ca  0.250  0.250  0.750 x2
Ca  0.250  0.750  0.750 x2
Eu  0.000  0.000  0.000 x4
W  0.000  0.000  0.500 x4
O  0.024  0.229  0.466 x8
O  0.049  0.033  0.729 x8
O  0.229  0.533  0.023 x8

## Properties
- Calculated density: 5.71 g cm⁻³
- Total moment: 24.00 μB per cell

2.
A plane-wave DFT calculation with GGA+U was carried out for crystalline KCaEuWO6 at its relaxed geometry.

Cell lengths 8.444, 8.444, 8.444 Å; angles 90.00, 90.00, 90.00 degrees
Space group F-43m (No. 216)
Asymmetric unit:
K  0.000  0.000  0.000 x4
Ca  0.000  0.000  0.500 x4
Eu  0.250  0.250  0.750 x4
W  0.250  0.250  0.250 x4
O  0.019  0.250  0.250 x24

## Properties
- Calculated density: 5.64 g cm⁻³
- Total moment: 24.00 μB per cell

1 is the most stable structure; the next one sits 0.041 eV/atom above it.

1.
A plane-wave DFT calculation with GGA+U was carried out for crystalline CaTbEuVO6 at its relaxed geometry.

Cell lengths 8.958, 9.141, 9.327 Å; angles 90.00, 90.00, 90.00 degrees
Space group P222 (No. 16)
Asymmetric unit:
Ca  0.000  0.000  0.000 x1
Ca  0.000  0.000  0.500 x1
Ca  0.000  0.500  0.000 x1
Ca  0.500  0.500  0.500 x1
Tb  0.245  0.253  0.747 x4
Eu  0.000  0.500  0.500 x1
Eu  0.500  0.000  0.000 x1
Eu  0.500  0.000  0.500 x1
Eu  0.500  0.500  0.000 x1
V  0.247  0.252  0.251 x4
O  0.019  0.209  0.286 x4
O  0.209  0.285  0.019 x4
O  0.215  0.480  0.292 x4
O  0.285  0.019  0.209 x4
O  0.290  0.216  0.480 x4
O  0.481  0.290  0.215 x4

## Properties
- Calculated density: 4.33 g cm⁻³
- Total moment: 7.44 μB per cell

2.
A plane-wave DFT calculation with GGA+U was carried out for crystalline CaTbEuVO6 at its relaxed geometry.

Cell lengths 8.235, 8.235, 8.235 Å; angles 90.00, 90.00, 90.00 degrees
Space group F-43m (No. 216)
Asymmetric unit:
Ca  0.000  0.000  0.000 x4
Tb  0.250  0.250  0.750 x4
Eu  0.000  0.000  0.500 x4
V  0.250  0.250  0.250 x4
O  0.019  0.250  0.250 x24

## Properties
- Calculated density: 5.92 g cm⁻³
- Total moment: 28.00 μB per cell

2 is the most stable structure; the next one sits 0.794 eV/atom above it.

1.
A plane-wave DFT calculation with GGA+U was carried out for crystalline CaFe3Si2HO9 at its relaxed geometry.

Cell lengths 13.178, 5.915, 8.909 Å; angles 90.00, 90.00, 90.00 degrees
Space group Pnma (No. 62)
Asymmetric unit:
Ca  0.187  0.250  0.131 x4
Fe  0.059  0.750  0.759 x4
Fe  0.110  0.511  0.449 x8
Si  0.041  0.750  0.131 x4
Si  0.179  0.250  0.773 x4
H  0.228  0.750  0.935 x4
O  0.009  0.750  0.531 x4
O  0.064  0.517  0.227 x8
O  0.085  0.250  0.899 x4
O  0.101  0.750  0.974 x4
O  0.171  0.018  0.670 x8
O  0.202  0.250  0.390 x4
O  0.223  0.750  0.391 x4

## Properties
- Calculated density: 3.91 g cm⁻³
- Total moment: 52.00 μB per cell

2.
A plane-wave DFT calculation with GGA+U was carried out for crystalline CaFe3Si2HO9 at its relaxed geometry.

Cell lengths 5.979, 8.896, 13.104 Å; angles 90.00, 90.40, 90.00 degrees
Space group P2_1/c (No. 14)
Asymmetric unit:
Ca  0.246  0.131  0.188 x4
Fe  0.003  0.549  0.889 x4
Fe  0.250  0.241  0.942 x4
Fe  0.497  0.552  0.889 x4
Si  0.248  0.631  0.458 x4
Si  0.253  0.726  0.679 x4
H  0.259  0.065  0.774 x4
O  0.016  0.726  0.436 x4
O  0.021  0.675  0.172 x4
O  0.249  0.026  0.897 x4
O  0.254  0.600  0.584 x4
O  0.261  0.109  0.704 x4
O  0.261  0.607  0.777 x4
O  0.272  0.031  0.489 x4
O  0.479  0.668  0.170 x4
O  0.480  0.727  0.434 x4

## Properties
- Calculated density: 3.90 g cm⁻³
- Total moment: 52.00 μB per cell

2 is the most stable structure; the next one sits 0.014 eV/atom above it.

1.
A plane-wave DFT calculation with GGA+U was carried out for crystalline CaLa2FeO6 at its relaxed geometry.

Cell lengths 5.842, 5.869, 18.392 Å; angles 83.56, 89.23, 61.76 degrees
Space group P1 (No. 1)
Asymmetric unit:
Ca  0.000  0.000  0.000 x1
Ca  0.244  0.503  0.750 x1
Ca  0.489  0.008  0.500 x1
Ca  0.745  0.503  0.250 x1
La  0.063  0.863  0.196 x1
La  0.172  0.648  0.554 x1
La  0.318  0.359  0.947 x1
La  0.426  0.144  0.304 x1
La  0.560  0.864  0.697 x1
La  0.683  0.639  0.054 x1
La  0.807  0.368  0.447 x1
La  0.927  0.143  0.804 x1
Fe  0.116  0.756  0.375 x1
Fe  0.374  0.250  0.125 x1
Fe  0.623  0.751  0.875 x1
Fe  0.866  0.257  0.625 x1
O  0.046  0.558  0.313 x1
O  0.095  0.604  0.063 x1
O  0.111  0.251  0.189 x1
O  0.123  0.260  0.560 x1
O  0.147  0.901  0.687 x1
O  0.187  0.954  0.437 x1
O  0.302  0.054  0.063 x1
O  0.341  0.106  0.813 x1
O  0.367  0.747  0.940 x1
O  0.378  0.756  0.311 x1
O  0.395  0.404  0.437 x1
O  0.444  0.448  0.187 x1
O  0.547  0.554  0.814 x1
O  0.584  0.612  0.564 x1
O  0.609  0.253  0.690 x1
O  0.636  0.251  0.061 x1
O  0.651  0.898  0.186 x1
O  0.698  0.947  0.937 x1
O  0.792  0.061  0.563 x1
O  0.838  0.109  0.314 x1
O  0.854  0.756  0.439 x1
O  0.879  0.755  0.810 x1
O  0.905  0.396  0.936 x1
O  0.941  0.452  0.687 x1

## Properties
- Calculated density: 5.66 g cm⁻³
- Total moment: 0.00 μB per cell

2.
A plane-wave DFT calculation with GGA+U was carried out for crystalline CaLa2FeO6 at its relaxed geometry.

Cell lengths 5.8413, 5.8413, 13.4742 Å; angles 90.00, 90.00, 120.00 degrees
Space group R-3 (No. 148, hexagonal axes)
Asymmetric unit:
Ca  0.0000  0.0000  0.0000 x3
La  0.0000  0.0000  0.2604 x6
Fe  0.0000  0.0000  0.5000 x3
O  0.0385  0.6101  0.2481 x18

## Properties
- Calculated density: 5.88 g cm⁻³
- Total moment: 12.00 μB per cell

1 is the most stable structure; the next one sits 0.031 eV/atom above it.